10
Lattice="7.587 0.000 0.000 0.000 7.587 0.000 0.000 0.000 4.003" Properties=species:S:1:pos:R:3 comment="Nd2InRh2 (PBE, relaxed)" volume_a3_per_atom=23.04 formation_energy_ev_per_fu=-3.352 mass_density_g_cm3=8.78 magnetic_moment_mub_per_fu=0.00 pbc="T T T"
Nd 1.313 2.481 0.000
Nd 2.481 6.274 0.000
Nd 5.106 1.313 0.000
Nd 6.274 5.106 0.000
In 0.000 0.000 2.002
In 3.793 3.793 2.002
Rh 0.987 4.781 2.002
Rh 2.806 0.987 2.002
Rh 4.781 6.599 2.002
Rh 6.599 2.806 2.002